Record 1
First-principles (GGA+U) data for a relaxed MgFe2O4 crystal, as listed in the Materials Project database. Values from VASP.

MP2020-corrected energy	-7.463	eV per atom
formation energy from the elements	-1.987	eV/atom

```
&SYSTEM
  ibrav = 0, nat = 70, ntyp = 3
/
ATOMIC_SPECIES
Mg 24.30 Mg.upf
Fe 55.84 Fe.upf
O 16.00 O.upf
CELL_PARAMETERS angstrom
5.8941 0.0000 0.0000
-2.9283 5.1254 0.0000
-0.3007 -3.1597 23.8703
ATOMIC_POSITIONS angstrom
Mg 0.0000 0.0000 0.0000
Mg -0.2769 -1.6076 17.1993
Mg -1.6507 2.6160 12.4489
Mg -0.1212 1.7101 7.6896
Mg 1.4239 0.8073 2.9044
Mg -0.3043 1.8475 22.0105
Mg 1.2101 0.9672 17.2084
Mg 2.7609 0.0528 12.4481
Mg 4.2909 -0.8524 7.6888
Mg 2.9058 3.3769 2.9169
Fe -1.7610 0.9816 17.1732
Fe -0.0841 -0.0276 5.3153
Fe -0.1049 0.0027 10.6238
Fe -0.2701 0.1043 14.2724
Fe -0.3028 0.1234 19.6079
Fe 1.3430 -0.8521 7.6888
Fe 0.0240 3.3225 1.0943
Fe -0.1259 3.4151 4.7590
Fe -0.1434 3.4440 10.0704
Fe 1.2742 -0.7141 22.0862
Fe 2.7669 -1.6523 15.3836
Fe 2.6297 -1.5515 18.9586
Fe 1.2949 2.6165 12.4456
Fe 2.9968 1.6478 0.5069
Fe 2.9106 1.6583 5.8524
Fe 2.7463 1.7600 9.5136
Fe 2.7267 1.7893 14.8195
Fe 4.3859 0.7960 2.9399
Fe 2.6401 1.8043 20.2004
Fe 4.0687 -0.7277 22.0205
O -0.1311 -0.0003 1.9282
O -0.4320 -1.5018 20.8572
O -1.7368 0.8614 20.8638
O -0.0550 -0.0377 8.7442
O -1.5268 2.7090 8.8795
O -1.7975 2.5399 16.0033
O -0.1326 1.5381 4.1312
O -0.3371 0.1528 16.1550
O -1.6618 4.3153 4.1753
O -0.3655 0.0712 23.0519
O 1.4408 -0.8947 11.2131
O -0.0922 1.8813 11.2625
O 1.3487 -2.2999 23.2447
O -0.3792 1.7415 18.3565
O 1.2927 0.7156 6.5036
O 1.0633 -0.6843 18.4552
O -0.1868 3.4583 6.6377
O 2.8266 -1.6949 13.5035
O 1.6079 2.4304 1.6298
O 1.3494 1.0494 13.6314
O 3.0169 0.0797 1.7128
O 1.0623 0.8982 20.7865
O 2.7308 -0.1194 8.8761
O 1.1997 2.6578 8.9267
O 2.6944 -1.5275 20.8993
O 2.9677 1.6194 3.9665
O 1.3831 2.5702 15.9630
O 2.7600 0.2315 16.0063
O 1.4955 4.3568 4.1318
O 4.1674 -0.9436 11.2592
O 2.6941 1.8015 11.3928
O 3.9881 -2.2438 23.1654
O 2.7646 0.0634 23.2262
O 2.7551 1.7758 18.2845
O 4.1653 -0.6076 18.3274
O 4.4558 0.7615 6.4504
O 2.9236 3.5334 6.5046
O 5.6101 -1.7731 13.6303
O 4.3445 2.3603 1.7549
O 4.0789 1.0011 13.6842
```

=====

Record 2
First-principles (GGA+U) data for a relaxed MgFe2O4 crystal, as listed in the Materials Project database. Values from VASP.

MP2020-corrected energy	-7.564	eV per atom
formation energy from the elements	-2.088	eV/atom

```
&SYSTEM
  ibrav = 0, nat = 42, ntyp = 3
/
ATOMIC_SPECIES
Mg 24.30 Mg.upf
Fe 55.84 Fe.upf
O 16.00 O.upf
CELL_PARAMETERS angstrom
6.0263 0.0000 0.0000
-3.0131 5.2189 0.0000
0.0000 0.0000 14.7559
ATOMIC_POSITIONS angstrom
Mg 0.0000 0.0000 0.0000
Mg 0.0000 0.0000 3.5901
Mg 0.0000 3.4793 8.5795
Mg 3.0131 1.7396 4.2201
Mg 3.0131 1.7396 9.8021
Mg 3.0131 1.7396 13.4804
Fe 0.0000 0.0000 9.2165
Fe 0.0000 1.7435 11.6602
Fe -1.5032 4.3472 11.6602
Fe 1.4927 0.8618 6.7340
Fe 0.0000 3.4793 4.9145
Fe 0.0000 3.4793 14.1320
Fe 3.0131 0.0254 1.8171
Fe 1.5286 2.5968 1.8171
Fe 1.5032 4.3472 11.6602
Fe 4.5336 0.8618 6.7340
Fe 3.0131 3.4953 6.7340
Fe 4.4977 2.5967 1.8171
O 0.0000 0.0000 5.6382
O 0.0000 0.0000 12.7385
O -1.3864 2.6788 12.8213
O 0.0000 1.5952 7.9135
O -1.6316 4.4213 7.9135
O 0.0000 1.8938 0.6369
O -1.3730 4.2720 0.6369
O 1.3872 0.8009 10.4641
O 0.0000 3.4793 2.9876
O 0.0000 3.4793 10.5622
O 1.6113 0.9303 2.9353
O 1.3864 2.6788 12.8213
O 0.0000 5.0802 12.8213
O 3.0131 0.0814 5.5656
O 1.5770 2.5688 5.5656
O 1.3730 4.2720 0.6369
O 3.0131 1.7396 0.7005
O 3.0131 1.7396 7.7811
O 1.6316 4.4213 7.9135
O 4.4150 0.9303 2.9353
O 3.0131 3.3584 2.9353
O 4.6391 0.8009 10.4641
O 3.0131 3.6171 10.4641
O 4.4492 2.5688 5.5656
```

=====

| no. | energy relative to the lowest polymorph listed for this composition (eV/atom) |
| --- | --- |
| 1 | 0.115 |
| 2 | 0.014 |